# 1
Density functional theory data (PBE-GGA) for an optimized crystal structure of Rb2HPdC4N4.

Structure (POSCAR):
```
Rb2HPdC4N4
1.0
-1.681 6.427 -3.811
-5.318 3.294 7.900
11.298 5.986 5.109
Rb H Pd C N
8 4 4 16 16
direct
0.289 0.250 0.250 Rb
0.711 0.750 0.750 Rb
0.211 0.750 0.250 Rb
0.789 0.250 0.750 Rb
0.250 0.000 0.596 Rb
0.750 0.000 0.404 Rb
0.250 0.500 0.904 Rb
0.750 0.500 0.096 Rb
0.750 0.250 0.250 H
0.250 0.750 0.750 H
0.750 0.750 0.250 H
0.250 0.250 0.750 H
0.000 0.000 0.000 Pd
0.500 0.000 0.000 Pd
0.500 0.500 0.500 Pd
0.000 0.500 0.500 Pd
0.007 0.012 0.144 C
0.993 0.988 0.856 C
0.493 0.988 0.144 C
0.493 0.512 0.356 C
0.507 0.012 0.856 C
0.507 0.488 0.644 C
0.007 0.488 0.356 C
0.993 0.512 0.644 C
0.530 0.197 0.990 C
0.470 0.803 0.010 C
0.970 0.803 0.990 C
0.970 0.697 0.510 C
0.030 0.197 0.010 C
0.030 0.303 0.490 C
0.530 0.303 0.510 C
0.470 0.697 0.490 C
0.017 0.027 0.229 N
0.983 0.973 0.771 N
0.483 0.973 0.229 N
0.483 0.527 0.271 N
0.517 0.027 0.771 N
0.517 0.473 0.729 N
0.017 0.473 0.271 N
0.983 0.527 0.729 N
0.547 0.311 0.976 N
0.453 0.689 0.024 N
0.953 0.689 0.976 N
0.953 0.811 0.524 N
0.047 0.311 0.024 N
0.047 0.189 0.476 N
0.547 0.189 0.524 N
0.453 0.811 0.476 N
```

Properties
Space-group type = Pnna, No. 52

# 2
Density functional theory data (PBE-GGA) for an optimized crystal structure of RbSi2H18C6N.

Structure (POSCAR):
```
RbSi2H18C6N
1.0
-5.175 1.973 -7.251
7.556 -3.960 -6.470
-3.855 -12.536 -0.660
Rb Si H C N
4 8 72 24 4
direct
0.056 0.430 0.870 Rb
0.556 0.570 0.630 Rb
0.444 0.430 0.370 Rb
0.944 0.570 0.130 Rb
0.746 0.291 0.052 Si
0.945 0.786 0.868 Si
0.445 0.214 0.632 Si
0.555 0.786 0.368 Si
0.254 0.709 0.948 Si
0.246 0.709 0.448 Si
0.055 0.214 0.132 Si
0.754 0.291 0.552 Si
0.724 0.786 0.216 H
0.317 0.372 0.723 H
0.817 0.628 0.777 H
0.742 0.110 0.954 H
0.221 0.288 0.523 H
0.276 0.214 0.784 H
0.099 0.959 0.763 H
0.694 0.843 0.521 H
0.935 0.135 0.504 H
0.701 0.055 0.087 H
0.799 0.055 0.587 H
0.401 0.959 0.263 H
0.415 0.992 0.730 H
0.707 0.511 0.943 H
0.683 0.628 0.277 H
0.207 0.489 0.557 H
0.242 0.890 0.546 H
0.279 0.288 0.023 H
0.787 0.392 0.364 H
0.447 0.282 0.808 H
0.194 0.157 0.979 H
0.901 0.041 0.237 H
0.565 0.135 0.004 H
0.513 0.297 0.157 H
0.196 0.133 0.591 H
0.585 0.008 0.270 H
0.446 0.588 0.064 H
0.258 0.890 0.046 H
0.804 0.867 0.409 H
0.806 0.843 0.021 H
0.136 0.580 0.323 H
0.169 0.740 0.261 H
0.304 0.133 0.091 H
0.669 0.260 0.239 H
0.721 0.712 0.977 H
0.013 0.703 0.343 H
0.554 0.412 0.936 H
0.224 0.214 0.284 H
0.287 0.608 0.136 H
0.793 0.511 0.443 H
0.966 0.994 0.123 H
0.946 0.412 0.436 H
0.085 0.992 0.230 H
0.293 0.489 0.057 H
0.053 0.282 0.308 H
0.487 0.703 0.843 H
0.915 0.008 0.770 H
0.636 0.420 0.177 H
0.779 0.712 0.477 H
0.435 0.865 0.996 H
0.306 0.157 0.479 H
0.183 0.372 0.223 H
0.065 0.865 0.496 H
0.776 0.786 0.716 H
0.947 0.718 0.692 H
0.713 0.392 0.864 H
0.331 0.740 0.761 H
0.864 0.420 0.677 H
0.034 0.006 0.877 H
0.299 0.945 0.913 H
0.831 0.260 0.739 H
0.364 0.580 0.823 H
0.599 0.041 0.737 H
0.987 0.297 0.657 H
0.534 0.994 0.623 H
0.213 0.608 0.636 H
0.466 0.006 0.377 H
0.201 0.945 0.413 H
0.054 0.588 0.564 H
0.696 0.867 0.909 H
0.553 0.718 0.192 H
0.758 0.110 0.454 H
0.504 0.044 0.686 C
0.778 0.803 0.952 C
0.870 0.320 0.667 C
0.370 0.680 0.833 C
0.683 0.133 0.022 C
0.865 0.723 0.752 C
0.174 0.586 0.561 C
0.130 0.680 0.333 C
0.496 0.956 0.314 C
0.826 0.414 0.439 C
0.817 0.133 0.522 C
0.630 0.320 0.167 C
0.317 0.867 0.978 C
0.635 0.723 0.252 C
0.722 0.803 0.452 C
0.674 0.414 0.939 C
0.326 0.586 0.061 C
0.004 0.956 0.814 C
0.183 0.867 0.478 C
0.365 0.277 0.748 C
0.222 0.197 0.048 C
0.278 0.197 0.548 C
0.996 0.044 0.186 C
0.135 0.277 0.248 C
0.927 0.312 0.068 N
0.073 0.688 0.932 N
0.573 0.312 0.568 N
0.427 0.688 0.432 N
```

Properties
Space-group type = P2_1/c, No. 14

no.,uncorrected energy (eV per atom),DFT formation energy (eV/atom)
1,-6.6347,-0.02
2,-5.1480,-0.28